1.
## Mg14CuB (PBE)

Data for an optimized crystal structure of Mg14CuB.

Cell: 6.219 6.273 9.986 Å, 90.00 90.00 120.29°
Element x y z (fractional)
Mg 0.175 0.338 0.625
Mg 0.174 0.837 0.625
Mg 0.755 0.383 0.125
Mg 0.661 0.332 0.625
Mg 0.755 0.872 0.125
Mg 0.661 0.829 0.625
Mg 0.310 0.145 0.318
Mg 0.310 0.145 0.932
Mg 0.310 0.666 0.318
Mg 0.310 0.666 0.932
Mg 0.829 0.165 0.377
Mg 0.829 0.165 0.873
Mg 0.826 0.663 0.374
Mg 0.826 0.663 0.876
Cu 0.146 0.323 0.125
B 0.120 0.810 0.125

Results
Polymorph energy (0 for the lowest one): 0.000 eV/atom


2.
## Mg6CuB (PBE)

Data for an optimized crystal structure of Mg6CuB.

Cell: 4.489 6.402 10.177 Å, 90.00 90.00 90.00°
Element x y z (fractional)
Mg 0.500 0.253 0.596
Mg 0.500 0.747 0.596
Mg 0.000 0.242 0.407
Mg 0.000 0.758 0.407
Mg 0.000 0.000 0.674
Mg 0.000 0.000 0.173
Mg 0.500 0.753 0.096
Mg 0.500 0.247 0.096
Mg 0.000 0.742 0.907
Mg 0.000 0.258 0.907
Mg 0.000 0.500 0.174
Mg 0.000 0.500 0.673
Cu 0.500 0.000 0.838
Cu 0.500 0.500 0.338
B 0.500 0.000 0.309
B 0.500 0.500 0.809

Results
Polymorph energy (0 for the lowest one): 0.149 eV/atom


3.
## Na3CuBPO7 (PBE)

Data for an optimized crystal structure of Na3CuBPO7.

Cell: 6.485 5.222 9.008 Å, 88.86 90.00 90.00°
Element x y z (fractional)
Na 0.750 0.241 0.919
Na 0.999 0.754 0.741
Na 0.501 0.754 0.741
Na 0.499 0.246 0.259
Na 0.001 0.246 0.259
Na 0.250 0.759 0.081
Cu 0.250 0.226 0.658
Cu 0.750 0.774 0.342
B 0.250 0.264 0.935
B 0.750 0.736 0.065
P 0.750 0.297 0.578
P 0.250 0.703 0.422
O 0.750 0.714 0.916
O 0.250 0.032 0.863
O 0.250 0.473 0.837
O 0.937 0.221 0.679
O 0.563 0.221 0.679
O 0.750 0.593 0.548
O 0.250 0.846 0.569
O 0.750 0.154 0.431
O 0.250 0.407 0.452
O 0.437 0.779 0.321
O 0.063 0.779 0.321
O 0.750 0.527 0.163
O 0.750 0.968 0.137
O 0.250 0.286 0.084


4.
## CuB4O7 (PBE)

Data for an optimized crystal structure of CuB4O7.

Cell: 6.351 6.351 5.156 Å, 90.00 90.00 117.86°
Element x y z (fractional)
Cu 0.279 0.279 0.250
Cu 0.721 0.721 0.750
B 0.698 0.926 0.250
B 0.297 0.703 0.500
B 0.926 0.698 0.250
B 0.074 0.302 0.750
B 0.703 0.297 0.000
B 0.703 0.297 0.500
B 0.302 0.074 0.750
B 0.297 0.703 0.000
O 0.922 0.922 0.250
O 0.244 0.803 0.750
O 0.197 0.756 0.250
O 0.445 0.190 0.979
O 0.445 0.190 0.521
O 0.810 0.555 0.479
O 0.810 0.555 0.021
O 0.803 0.244 0.750
O 0.078 0.078 0.750
O 0.555 0.810 0.021
O 0.190 0.445 0.979
O 0.190 0.445 0.521
O 0.756 0.197 0.250
O 0.555 0.810 0.479


5.
## Cu3BO5 (PBE)

Data for an optimized crystal structure of Cu3BO5.

Cell: 11.891 3.275 9.853 Å, 76.91 90.00 90.00°
Element x y z (fractional)
Cu 0.500 0.500 0.000
Cu 0.000 0.500 0.500
Cu 0.115 0.936 0.736
Cu 0.885 0.064 0.264
Cu 0.615 0.064 0.764
Cu 0.385 0.936 0.236
Cu 0.223 0.444 0.994
Cu 0.777 0.556 0.006
Cu 0.723 0.556 0.506
Cu 0.277 0.444 0.494
Cu 0.500 0.000 0.500
Cu 0.000 0.000 0.000
B 0.364 0.948 0.765
B 0.636 0.052 0.235
B 0.864 0.052 0.735
B 0.136 0.948 0.265
O 0.144 0.436 0.593
O 0.856 0.564 0.407
O 0.644 0.564 0.907
O 0.356 0.436 0.093
O 0.085 0.478 0.891
O 0.915 0.522 0.109
O 0.585 0.522 0.609
O 0.415 0.478 0.391
O 0.462 0.936 0.841
O 0.538 0.064 0.159
O 0.962 0.064 0.659
O 0.038 0.936 0.341
O 0.262 0.874 0.833
O 0.738 0.126 0.167
O 0.762 0.126 0.667
O 0.238 0.874 0.333
O 0.367 0.040 0.621
O 0.633 0.960 0.379
O 0.867 0.960 0.879
O 0.133 0.040 0.121

Results
Polymorph energy (0 for the lowest one): 0.010 eV/atom


6.
## CuB2O4 (PBE)

Data for an optimized crystal structure of CuB2O4.

Cell: 8.672 8.672 8.672 Å, 96.14 96.14 141.82°
Element x y z (fractional)
Cu 0.750 0.250 0.500
Cu 0.500 0.500 0.000
Cu 0.125 0.793 0.168
Cu 0.625 0.957 0.832
Cu 0.207 0.375 0.332
Cu 0.043 0.875 0.668
B 0.799 0.263 0.167
B 0.451 0.118 0.963
B 0.095 0.632 0.833
B 0.155 0.487 0.037
B 0.737 0.905 0.537
B 0.513 0.549 0.667
B 0.368 0.201 0.463
B 0.882 0.845 0.333
B 0.625 0.376 0.251
B 0.125 0.374 0.749
B 0.624 0.875 0.249
B 0.626 0.375 0.751
O 0.674 0.085 0.270
O 0.576 0.347 0.911
O 0.815 0.403 0.730
O 0.435 0.665 0.089
O 0.915 0.185 0.589
O 0.335 0.424 0.770
O 0.597 0.326 0.411
O 0.653 0.565 0.230
O 0.625 0.123 0.998
O 0.125 0.627 0.002
O 0.877 0.875 0.502
O 0.373 0.375 0.498
O 0.041 0.375 0.166
O 0.209 0.875 0.834
O 0.625 0.791 0.666
O 0.125 0.959 0.334
O 0.860 0.474 0.240
O 0.390 0.130 0.114
O 0.234 0.620 0.760
O 0.016 0.276 0.886
O 0.526 0.766 0.386
O 0.724 0.610 0.740
O 0.380 0.140 0.614
O 0.870 0.984 0.260


The following final energy values (in eV for the cell shown) correspond, in order, to the records above: -30.72; -35.30; -157.76; -180.23; -212.07; -303.31.
The following energy relative to the elements values (in eV/atom) correspond, in order, to the records above: 0.154; 0.341; -2.223; -2.456; -1.415; -2.293.